The following is a PBE with a Hubbard U calculation of FeOF after structural relaxation, from the Materials Project.

The structure in POSCAR format:
```
FeOF
1.0
4.772 0.000 0.000
0.396 5.666 0.000
0.383 0.649 7.770
Fe F O
6 6 6
direct
0.002 0.671 0.341
0.986 0.996 0.987
0.005 0.307 0.661
0.504 0.160 0.326
0.480 0.502 0.015
0.521 0.869 0.674
0.704 0.534 0.766
0.799 0.374 0.440
0.195 0.301 0.894
0.808 0.700 0.102
0.192 0.959 0.226
0.182 0.620 0.572
0.293 0.465 0.239
0.698 0.206 0.099
0.811 0.043 0.767
0.307 0.132 0.557
0.701 0.866 0.434
0.312 0.796 0.900
```

Calculated total energy in Ry/atom: -0.4404
DFT formation energy in meV/atom: -2016